Record 1
{
  "formula": "TlTe3Mo3",
  "functional": "PBE",
  "state": "relaxed",
  "e_above_lowest_polymorph_kj_per_mol_fu": 0,
  "space_group": "P6_3/m",
  "cell": [[9.7387, 0.0000, 0.0000], [-4.8694, 8.4340, 0.0000], [0.0000, 0.0000, 4.6201]],
  "species": ["Tl", "Tl", "Te", "Te", "Te", "Te", "Te", "Te", "Mo", "Mo", "Mo", "Mo", "Mo", "Mo"],
  "frac_coords": [[0.3333, 0.6667, 0.2500], [0.6667, 0.3333, 0.7500], [0.0568, 0.3613, 0.7500], [0.3045, 0.9432, 0.7500], [0.3613, 0.3045, 0.2500], [0.6387, 0.6955, 0.7500], [0.6955, 0.0568, 0.2500], [0.9432, 0.6387, 0.2500], [0.0266, 0.1697, 0.2500], [0.1430, 0.9734, 0.2500], [0.1697, 0.1430, 0.7500], [0.8303, 0.8570, 0.2500], [0.8570, 0.0266, 0.7500], [0.9734, 0.8303, 0.7500]]
}


Record 2
{
  "formula": "LiHfMg14O15",
  "functional": "PBE",
  "state": "relaxed",
  "e_above_lowest_polymorph_kj_per_mol_fu": 62,
  "space_group": "Pmm2",
  "cell": [[4.2871, 0.0000, 0.0000], [0.0000, 8.6343, 0.0000], [0.0000, 0.0000, 8.6251]],
  "species": ["Li", "Hf", "Mg", "Mg", "Mg", "Mg", "Mg", "Mg", "Mg", "Mg", "Mg", "Mg", "Mg", "Mg", "Mg", "Mg", "O", "O", "O", "O", "O", "O", "O", "O", "O", "O", "O", "O", "O", "O", "O"],
  "frac_coords": [[0.0000, 0.0000, 0.0000], [0.0000, 0.5000, 0.4917], [0.0000, 0.0000, 0.4917], [0.0000, 0.2393, 0.2317], [0.0000, 0.2407, 0.7531], [0.0000, 0.5000, 0.9927], [0.0000, 0.7593, 0.7531], [0.0000, 0.7607, 0.2317], [0.5000, 0.0000, 0.2343], [0.5000, 0.0000, 0.7504], [0.5000, 0.2395, 0.4921], [0.5000, 0.2415, 0.9921], [0.5000, 0.5000, 0.2313], [0.5000, 0.5000, 0.7530], [0.5000, 0.7585, 0.9921], [0.5000, 0.7605, 0.4921], [0.0000, 0.0000, 0.2499], [0.0000, 0.2503, 0.4897], [0.0000, 0.2592, 0.9927], [0.0000, 0.5000, 0.2426], [0.0000, 0.5000, 0.7411], [0.0000, 0.7408, 0.9927], [0.0000, 0.7497, 0.4897], [0.5000, 0.0000, 0.4891], [0.5000, 0.0000, 0.9923], [0.5000, 0.2509, 0.2428], [0.5000, 0.2532, 0.7408], [0.5000, 0.5000, 0.4915], [0.5000, 0.5000, 0.9923], [0.5000, 0.7468, 0.7408], [0.5000, 0.7491, 0.2428]]
}


Record 3
{
  "formula": "Y8Co5",
  "functional": "PBE",
  "state": "relaxed",
  "space_group": "P2_1/c",
  "cell": [[7.0400, 0.0000, 0.0000], [0.0000, 7.1849, 0.0000], [-5.1272, 0.0000, 23.5884]],
  "species": ["Y", "Y", "Y", "Y", "Y", "Y", "Y", "Y", "Y", "Y", "Y", "Y", "Y", "Y", "Y", "Y", "Y", "Y", "Y", "Y", "Y", "Y", "Y", "Y", "Y", "Y", "Y", "Y", "Y", "Y", "Y", "Y", "Co", "Co", "Co", "Co", "Co", "Co", "Co", "Co", "Co", "Co", "Co", "Co", "Co", "Co", "Co", "Co", "Co", "Co", "Co", "Co"],
  "frac_coords": [[0.0008, 0.1864, 0.1654], [0.0008, 0.3136, 0.6654], [0.1406, 0.0222, 0.5646], [0.1406, 0.4778, 0.0646], [0.1821, 0.6878, 0.1963], [0.1821, 0.8122, 0.6963], [0.2135, 0.1648, 0.9413], [0.2135, 0.3352, 0.4413], [0.3118, 0.1843, 0.7976], [0.3118, 0.3157, 0.2976], [0.3156, 0.5403, 0.5849], [0.3156, 0.9597, 0.0849], [0.3556, 0.6828, 0.9629], [0.3556, 0.8172, 0.4629], [0.4696, 0.6667, 0.8227], [0.4696, 0.8333, 0.3227], [0.5304, 0.1667, 0.6773], [0.5304, 0.3333, 0.1773], [0.6444, 0.1828, 0.5371], [0.6444, 0.3172, 0.0371], [0.6844, 0.0403, 0.9151], [0.6844, 0.4597, 0.4151], [0.6882, 0.6843, 0.7024], [0.6882, 0.8157, 0.2024], [0.7865, 0.6648, 0.5587], [0.7865, 0.8352, 0.0587], [0.8179, 0.1878, 0.3037], [0.8179, 0.3122, 0.8037], [0.8594, 0.5222, 0.9354], [0.8594, 0.9778, 0.4354], [0.9992, 0.6864, 0.3346], [0.9992, 0.8136, 0.8346], [0.0260, 0.6461, 0.4832], [0.0260, 0.8539, 0.9832], [0.0945, 0.5275, 0.7654], [0.0945, 0.9725, 0.2654], [0.1673, 0.0328, 0.3679], [0.1673, 0.4672, 0.8679], [0.3602, 0.0308, 0.2177], [0.3602, 0.4692, 0.7177], [0.4905, 0.1178, 0.4043], [0.4905, 0.3822, 0.9043], [0.5095, 0.6178, 0.0957], [0.5095, 0.8822, 0.5957], [0.6398, 0.5308, 0.2823], [0.6398, 0.9692, 0.7823], [0.8327, 0.5328, 0.1321], [0.8327, 0.9672, 0.6321], [0.9055, 0.0275, 0.7346], [0.9055, 0.4725, 0.2346], [0.9740, 0.1461, 0.0168], [0.9740, 0.3539, 0.5168]]
}


Record 4
{
  "formula": "CsPH3O3F",
  "functional": "PBE",
  "state": "relaxed",
  "space_group": "P2_1/c",
  "cell": [[5.7509, 0.0000, 0.0000], [0.0000, 4.9694, 0.0000], [-0.9556, 0.0000, 18.6316]],
  "species": ["Cs", "Cs", "Cs", "Cs", "P", "P", "P", "P", "H", "H", "H", "H", "H", "H", "H", "H", "H", "H", "H", "H", "O", "O", "O", "O", "O", "O", "O", "O", "O", "O", "O", "O", "F", "F", "F", "F"],
  "frac_coords": [[0.2216, 0.1604, 0.4152], [0.2216, 0.3396, 0.9152], [0.7784, 0.6604, 0.0848], [0.7784, 0.8396, 0.5848], [0.3004, 0.2120, 0.1753], [0.3004, 0.2880, 0.6753], [0.6996, 0.7120, 0.3247], [0.6996, 0.7880, 0.8247], [0.1821, 0.0549, 0.2249], [0.1821, 0.4451, 0.7249], [0.2437, 0.5274, 0.5586], [0.2437, 0.9726, 0.0586], [0.3233, 0.5743, 0.2442], [0.3233, 0.9257, 0.7442], [0.6767, 0.0743, 0.2558], [0.6767, 0.4257, 0.7558], [0.7563, 0.0274, 0.9414], [0.7563, 0.4726, 0.4414], [0.8179, 0.5549, 0.2751], [0.8179, 0.9451, 0.7751], [0.1843, 0.1678, 0.1006], [0.1843, 0.3322, 0.6006], [0.2418, 0.5140, 0.1959], [0.2418, 0.9860, 0.6959], [0.4403, 0.6513, 0.3165], [0.4403, 0.8487, 0.8165], [0.5597, 0.1513, 0.1835], [0.5597, 0.3487, 0.6835], [0.7582, 0.0140, 0.3041], [0.7582, 0.4860, 0.8041], [0.8157, 0.6678, 0.3994], [0.8157, 0.8322, 0.8994], [0.2788, 0.6849, 0.5213], [0.2788, 0.8151, 0.0213], [0.7212, 0.1849, 0.9787], [0.7212, 0.3151, 0.4787]]
}


Record 5
{
  "formula": "Sb8Te3",
  "functional": "PBE",
  "state": "relaxed",
  "space_group": "R-3m",
  "cell": [[2.1875, 1.2629, 21.6086], [-2.1875, 1.2629, 21.6086], [0.0000, -2.5259, 21.6086]],
  "species": ["Sb", "Sb", "Sb", "Sb", "Sb", "Sb", "Sb", "Sb", "Te", "Te", "Te"],
  "frac_coords": [[0.0477, 0.0477, 0.0477], [0.1363, 0.1363, 0.1363], [0.3216, 0.3216, 0.3216], [0.4046, 0.4046, 0.4046], [0.5954, 0.5954, 0.5954], [0.6784, 0.6784, 0.6784], [0.8637, 0.8637, 0.8637], [0.9523, 0.9523, 0.9523], [0.2232, 0.2232, 0.2232], [0.5000, 0.5000, 0.5000], [0.7768, 0.7768, 0.7768]]
}


Record 6
{
  "formula": "In2O3",
  "functional": "PBE",
  "state": "relaxed",
  "space_group": "Pnma",
  "cell": [[5.8613, 0.0000, 0.0000], [0.0000, 3.2007, 0.0000], [0.0000, 0.0000, 12.9481]],
  "species": ["In", "In", "In", "In", "In", "In", "In", "In", "O", "O", "O", "O", "O", "O", "O", "O", "O", "O", "O", "O"],
  "frac_coords": [[0.1738, 0.2500, 0.1950], [0.2344, 0.7500, 0.4517], [0.2656, 0.2500, 0.9517], [0.3262, 0.7500, 0.6950], [0.6738, 0.2500, 0.3050], [0.7344, 0.7500, 0.0483], [0.7656, 0.2500, 0.5483], [0.8262, 0.7500, 0.8050], [0.0208, 0.2500, 0.4008], [0.1202, 0.7500, 0.0674], [0.1497, 0.2500, 0.7784], [0.3503, 0.7500, 0.2784], [0.3798, 0.2500, 0.5674], [0.4792, 0.7500, 0.9008], [0.5208, 0.2500, 0.0992], [0.6202, 0.7500, 0.4326], [0.6497, 0.2500, 0.7216], [0.8503, 0.7500, 0.2216], [0.8798, 0.2500, 0.9326], [0.9792, 0.7500, 0.5992]]
}


| no. | energy of formation (eV per formula unit) |
| --- | --- |
| 1 | -2.021 |
| 2 | -88.315 |
| 3 | -2.230 |
| 4 | -17.485 |
| 5 | -1.986 |
| 6 | -8.767 |